This record from the Materials Project describes Sr2MgZnWO6 after structural relaxation. The functional is PBE with a Hubbard U.

POSCAR file:
```
Sr2MgZnWO6
1.0
-5.586 -0.851 -0.649
0.775 6.026 0.348
2.026 -2.899 -4.442
O Sr W Zn Mg
6 2 1 1 1
direct
0.600 0.719 0.944
0.147 0.771 0.113
0.848 0.686 0.529
0.312 0.222 0.994
0.790 0.195 0.834
0.072 0.272 0.421
0.325 0.761 0.569
0.601 0.209 0.388
0.962 0.981 0.977
0.770 0.556 0.117
0.179 0.413 0.840
```

* space-group type: No. 1
* electronic total energy: -68.20 eV per cell
* calculated volume: 149.7 Å³/cell
* M_tot: 2.00 μB per formula unit

This record from the Materials Project describes Li2CoSiO4 after structural relaxation. The functional is PBE with a Hubbard U.

POSCAR file:
```
Li2CoSiO4
1.0
5.099 0.000 0.000
0.000 6.195 0.000
0.000 0.000 10.908
Li Co O Si
8 4 16 4
direct
0.799 0.005 0.332
0.799 0.495 0.332
0.299 0.995 0.168
0.299 0.505 0.168
0.701 0.495 0.832
0.201 0.505 0.668
0.201 0.995 0.668
0.701 0.005 0.832
0.307 0.750 0.925
0.193 0.750 0.425
0.807 0.250 0.575
0.693 0.250 0.075
0.635 0.250 0.414
0.795 0.750 0.443
0.204 0.034 0.340
0.705 0.750 0.943
0.365 0.750 0.586
0.295 0.250 0.057
0.796 0.966 0.660
0.796 0.534 0.660
0.135 0.750 0.086
0.704 0.966 0.160
0.865 0.250 0.914
0.704 0.534 0.160
0.296 0.466 0.840
0.205 0.250 0.557
0.296 0.034 0.840
0.204 0.466 0.340
0.311 0.250 0.414
0.189 0.250 0.914
0.811 0.750 0.086
0.689 0.750 0.586
```

* space-group type: No. 62
* electronic total energy: -207.02 eV per cell
* calculated volume: 344.6 Å³/cell

This record from the Materials Project describes Rb2Pr2MgW4O16 after structural relaxation. The functional is PBE with a Hubbard U.

POSCAR file:
```
Rb2Pr2MgW4O16
1.0
4.352 5.618 -3.560
4.352 -5.618 -3.560
0.098 0.000 -7.662
O W Pr Rb Mg
16 4 2 2 1
direct
0.753 0.652 0.542
0.037 0.245 0.302
0.224 0.057 0.796
0.349 0.077 0.368
0.594 0.379 0.497
0.257 0.384 0.425
0.923 0.651 0.132
0.348 0.247 0.958
0.755 0.963 0.198
0.617 0.951 0.637
0.621 0.406 0.003
0.368 0.592 0.969
0.408 0.632 0.531
0.616 0.743 0.075
0.049 0.383 0.863
0.943 0.776 0.704
0.298 0.310 0.207
0.678 0.721 0.794
0.690 0.702 0.293
0.279 0.322 0.706
0.760 0.240 0.250
0.219 0.781 0.750
0.196 0.804 0.250
0.881 0.119 0.750
0.621 0.379 0.750
```

* space-group type: No. 5
* electronic total energy: -179.29 eV per cell
* calculated volume: 370.7 Å³/cell
* M_tot: 2.00 μB per formula unit

This record from the Materials Project describes Li3FeP2HO8 after structural relaxation. The functional is PBE with a Hubbard U.

POSCAR file:
```
Li3FeP2HO8
1.0
5.088 -0.023 0.207
-0.079 6.271 0.078
-2.143 -0.068 4.557
O H Fe Li P
8 1 1 3 2
direct
0.190 0.262 0.314
0.685 0.237 0.729
0.754 0.946 0.239
0.704 0.544 0.216
0.296 0.456 0.784
0.810 0.738 0.686
0.246 0.054 0.761
0.315 0.763 0.271
0.500 0.500 0.000
0.000 0.000 0.000
0.000 0.500 0.000
0.226 0.757 0.620
0.774 0.243 0.380
0.358 0.246 0.643
0.641 0.754 0.357
```

* space-group type: No. 2
* electronic total energy: -96.89 eV per cell
* calculated volume: 148.2 Å³/cell

This record from the Materials Project describes CoPH12O9 after structural relaxation. The functional is PBE with a Hubbard U.

POSCAR file:
```
CoPH12O9
1.0
7.174 0.000 0.000
0.000 10.800 0.000
0.000 0.000 13.219
O H Co P
36 48 4 4
direct
0.125 0.000 0.109
0.693 0.720 0.585
0.299 0.500 0.532
0.625 0.000 0.391
0.480 0.242 0.363
0.986 0.000 0.382
0.014 0.000 0.618
0.031 0.265 0.671
0.031 0.735 0.671
0.701 0.500 0.468
0.486 0.000 0.118
0.807 0.280 0.085
0.799 0.500 0.968
0.980 0.242 0.137
0.693 0.280 0.585
0.020 0.758 0.863
0.193 0.280 0.915
0.514 0.000 0.882
0.969 0.265 0.329
0.307 0.720 0.415
0.520 0.758 0.637
0.969 0.735 0.329
0.307 0.280 0.415
0.375 0.000 0.609
0.875 0.000 0.891
0.520 0.242 0.637
0.480 0.758 0.363
0.201 0.500 0.032
0.980 0.758 0.137
0.193 0.720 0.915
0.020 0.242 0.863
0.531 0.735 0.829
0.807 0.720 0.085
0.531 0.265 0.829
0.469 0.735 0.171
0.469 0.265 0.171
0.448 0.819 0.143
0.548 0.925 0.387
0.208 0.000 0.772
0.154 0.000 0.612
0.464 0.740 0.286
0.536 0.740 0.714
0.952 0.925 0.887
0.552 0.819 0.857
0.482 0.000 0.811
0.399 0.281 0.851
0.601 0.281 0.149
0.952 0.075 0.887
0.018 0.000 0.311
0.346 0.000 0.112
0.101 0.719 0.351
0.548 0.075 0.387
0.294 0.000 0.329
0.601 0.719 0.149
0.518 0.000 0.189
0.399 0.719 0.851
0.899 0.281 0.649
0.452 0.075 0.613
0.964 0.740 0.214
0.101 0.281 0.351
0.052 0.181 0.643
0.452 0.925 0.613
0.846 0.000 0.388
0.794 0.000 0.171
0.464 0.260 0.286
0.552 0.181 0.857
0.036 0.740 0.786
0.048 0.075 0.113
0.708 0.000 0.728
0.036 0.260 0.786
0.899 0.719 0.649
0.948 0.819 0.357
0.206 0.000 0.829
0.448 0.181 0.143
0.654 0.000 0.888
0.052 0.819 0.643
0.706 0.000 0.671
0.948 0.181 0.357
0.292 0.000 0.272
0.964 0.260 0.214
0.048 0.925 0.113
0.982 0.000 0.689
0.536 0.260 0.714
0.792 0.000 0.228
0.000 0.359 0.000
0.500 0.641 0.500
0.000 0.641 0.000
0.500 0.359 0.500
0.865 0.500 0.546
0.135 0.500 0.454
0.365 0.500 0.954
0.635 0.500 0.046
```

* space-group type: No. 55
* electronic total energy: -438.01 eV per cell
* calculated volume: 1024.2 Å³/cell
* M_tot: 0.00 μB per formula unit

Calculated ΔH_f (0 K) (eV/atom), listed in the same order as above: -2.534 -2.500 -2.557 -2.443 -0.850